# GGA-PBE SmCuO3, optimized geometry
data_SmCuO3
_space_group_name_H-M_alt 'P m -3 m'
_space_group_IT_number 221
_space_group_name_Hall '-P 4 2 3'
_cell_length_a 3.809
_cell_length_b 3.809
_cell_length_c 3.809
_cell_angle_alpha 90.00
_cell_angle_beta 90.00
_cell_angle_gamma 90.00
loop_
_atom_site_label
_atom_site_type_symbol
_atom_site_fract_x
_atom_site_fract_y
_atom_site_fract_z
Sm1 Sm 0.000 0.000 0.000
Cu1 Cu 0.500 0.500 0.500
O1 O 0.000 0.500 0.500
# formation enthalpy at 0 K = -2.288 eV per atom
# energy = -33.039 eV for the cell shown
# magnetic moment = 0.01 μB per cell